1.
Compound: LaAs2Au
Source: the Materials Project database
Functional: PBE
Structure: optimized geometry

Cell and atoms, written as POSCAR:
```
LaAs2Au
1.0
4.165 0.000 0.000
0.000 4.165 0.000
0.000 0.000 20.897
La As Au
4 8 4
direct
0.000 0.000 0.117 La
0.000 0.000 0.883 La
0.500 0.500 0.383 La
0.500 0.500 0.617 La
0.000 0.000 0.338 As
0.000 0.000 0.662 As
0.000 0.500 0.000 As
0.000 0.500 0.500 As
0.500 0.000 0.000 As
0.500 0.000 0.500 As
0.500 0.500 0.162 As
0.500 0.500 0.838 As
0.000 0.500 0.250 Au
0.000 0.500 0.750 Au
0.500 0.000 0.250 Au
0.500 0.000 0.750 Au
```

Calculated values
Calculated total energy, eV/atom: -5.19
Crystal system: tetragonal
Calculated formation energy, kJ/mol of formula units: -312.8
V, Å³/atom: 22.7


2.
Compound: NaSi3BO8
Source: the Materials Project database
Functional: PBE
Structure: optimized geometry

Cell and atoms, written as POSCAR:
```
NaSi3BO8
1.0
6.893 0.000 0.000
-2.115 6.965 0.000
-1.408 -3.779 6.348
Na Si B O
2 6 2 16
direct
0.133 0.265 0.250 Na
0.867 0.735 0.750 Na
0.210 0.816 0.196 Si
0.321 0.805 0.602 Si
0.355 0.550 0.821 Si
0.645 0.450 0.179 Si
0.679 0.195 0.398 Si
0.790 0.184 0.804 Si
0.222 0.174 0.851 B
0.778 0.826 0.149 B
0.004 0.144 0.871 O
0.207 0.709 0.350 O
0.212 0.945 0.747 O
0.234 0.652 0.981 O
0.272 0.283 0.731 O
0.277 0.575 0.613 O
0.382 0.309 0.071 O
0.417 0.061 0.324 O
0.583 0.939 0.676 O
0.618 0.691 0.929 O
0.723 0.425 0.387 O
0.728 0.717 0.269 O
0.766 0.348 0.019 O
0.788 0.055 0.253 O
0.793 0.291 0.650 O
0.996 0.856 0.129 O
```

Calculated values
Calculated total energy, eV/atom: -7.56
Energy with MP2020 corrections, eV per atom: -7.99
Crystal system: triclinic
Calculated formation energy, kJ/mol of formula units: -3854.0
V, Å³/atom: 11.7


3.
Compound: TaCoN2
Source: the Materials Project database
Functional: PBE
Structure: optimized geometry

Cell and atoms, written as POSCAR:
```
TaCoN2
1.0
5.932 0.000 0.000
0.000 11.613 0.000
0.000 0.000 10.079
Ta Co N
16 16 32
direct
0.139 0.178 0.023 Ta
0.139 0.322 0.523 Ta
0.237 0.094 0.688 Ta
0.237 0.406 0.188 Ta
0.263 0.594 0.688 Ta
0.263 0.906 0.188 Ta
0.361 0.678 0.023 Ta
0.361 0.822 0.523 Ta
0.639 0.178 0.477 Ta
0.639 0.322 0.977 Ta
0.737 0.094 0.812 Ta
0.737 0.406 0.312 Ta
0.763 0.594 0.812 Ta
0.763 0.906 0.312 Ta
0.861 0.678 0.477 Ta
0.861 0.822 0.977 Ta
0.146 0.009 0.418 Co
0.146 0.491 0.918 Co
0.203 0.666 0.274 Co
0.203 0.834 0.774 Co
0.297 0.166 0.274 Co
0.297 0.334 0.774 Co
0.354 0.509 0.418 Co
0.354 0.991 0.918 Co
0.646 0.009 0.082 Co
0.646 0.491 0.582 Co
0.703 0.666 0.226 Co
0.703 0.834 0.726 Co
0.797 0.166 0.226 Co
0.797 0.334 0.726 Co
0.854 0.509 0.082 Co
0.854 0.991 0.582 Co
0.055 0.246 0.704 N
0.055 0.254 0.204 N
0.080 0.066 0.865 N
0.080 0.434 0.365 N
0.149 0.564 0.112 N
0.149 0.936 0.612 N
0.222 0.672 0.473 N
0.222 0.828 0.973 N
0.278 0.172 0.473 N
0.278 0.328 0.973 N
0.351 0.064 0.112 N
0.351 0.436 0.612 N
0.420 0.566 0.865 N
0.420 0.934 0.365 N
0.445 0.746 0.704 N
0.445 0.754 0.204 N
0.555 0.246 0.796 N
0.555 0.254 0.296 N
0.580 0.066 0.635 N
0.580 0.434 0.135 N
0.649 0.564 0.388 N
0.649 0.936 0.888 N
0.722 0.672 0.027 N
0.722 0.828 0.527 N
0.778 0.172 0.027 N
0.778 0.328 0.527 N
0.851 0.064 0.388 N
0.851 0.436 0.888 N
0.920 0.566 0.635 N
0.920 0.934 0.135 N
0.945 0.746 0.796 N
0.945 0.754 0.296 N
```

Calculated values
Calculated total energy, eV/atom: -9.31
Energy with MP2020 corrections, eV per atom: -9.49
Crystal system: orthorhombic
Calculated formation energy, kJ/mol of formula units: -223.0
V, Å³/atom: 10.8


4.
Compound: Al2P3O13
Source: the Materials Project database
Functional: PBE
Structure: optimized geometry

Cell and atoms, written as POSCAR:
```
Al2P3O13
1.0
7.488 0.000 0.000
0.000 10.620 0.000
-2.473 0.000 7.424
Al P O
4 6 26
direct
0.039 0.000 0.411 Al
0.406 0.234 0.986 Al
0.594 0.734 0.014 Al
0.961 0.500 0.589 Al
0.092 0.209 0.587 P
0.336 0.024 0.230 P
0.350 0.500 0.916 P
0.650 0.000 0.084 P
0.664 0.524 0.770 P
0.908 0.709 0.413 P
0.010 0.584 0.393 O
0.024 0.831 0.455 O
0.149 0.169 0.418 O
0.163 0.955 0.235 O
0.191 0.533 0.749 O
0.264 0.230 0.755 O
0.310 0.150 0.137 O
0.310 0.389 0.021 O
0.382 0.814 0.851 O
0.384 0.001 0.565 O
0.432 0.611 0.036 O
0.476 0.943 0.159 O
0.477 0.036 0.452 O
0.523 0.536 0.548 O
0.524 0.443 0.841 O
0.568 0.111 0.964 O
0.616 0.501 0.435 O
0.618 0.314 0.149 O
0.690 0.650 0.863 O
0.690 0.889 0.979 O
0.736 0.730 0.245 O
0.809 0.033 0.251 O
0.837 0.455 0.765 O
0.851 0.669 0.582 O
0.976 0.331 0.545 O
0.990 0.084 0.607 O
```

Calculated values
Calculated total energy, eV/atom: -6.74
Energy with MP2020 corrections, eV per atom: -6.85
Crystal system: monoclinic
Calculated formation energy, kJ/mol of formula units: -3405.0
V, Å³/atom: 16.4


5.
Compound: MgSb2
Source: the Materials Project database
Functional: PBE
Structure: optimized geometry

Cell and atoms, written as POSCAR:
```
MgSb2
1.0
12.584 0.000 0.000
0.000 3.222 0.000
-1.549 0.000 8.083
Mg Sb
4 8
direct
0.132 0.000 0.493 Mg
0.368 0.500 0.507 Mg
0.632 0.500 0.493 Mg
0.868 0.000 0.507 Mg
0.001 0.500 0.791 Sb
0.238 0.500 0.790 Sb
0.262 0.000 0.210 Sb
0.499 0.000 0.209 Sb
0.501 0.000 0.791 Sb
0.738 0.000 0.790 Sb
0.762 0.500 0.210 Sb
0.999 0.500 0.209 Sb
```

Calculated values
Calculated total energy, eV/atom: -3.30
Energy with MP2020 corrections, eV per atom: -3.43
Crystal system: monoclinic
Calculated formation energy, kJ/mol of formula units: -40.8
V, Å³/atom: 27.3


6.
Compound: Ni7Ge4
Source: the Materials Project database
Functional: PBE
Structure: optimized geometry

Cell and atoms, written as POSCAR:
```
Ni7Ge4
1.0
-1.984 5.001 3.419
1.984 -5.001 3.419
1.984 5.001 -3.419
Ni Ge
7 4
direct
0.000 0.000 0.000 Ni
0.213 0.338 0.876 Ni
0.423 0.669 0.754 Ni
0.462 0.338 0.124 Ni
0.707 0.329 0.378 Ni
0.915 0.669 0.246 Ni
0.952 0.329 0.622 Ni
0.193 0.693 0.500 Ge
0.254 0.002 0.252 Ge
0.652 0.652 0.000 Ge
0.750 0.002 0.748 Ge
```

Calculated values
Calculated total energy, eV/atom: -5.64
Crystal system: orthorhombic
Excess energy over the best structure of this formula in the dataset, eV/f.u.: 0.00
Calculated formation energy, kJ/mol of formula units: -300.7
V, Å³/atom: 12.3


7.
Compound: CsPbBr3
Source: the Materials Project database
Functional: PBE
Structure: optimized geometry

Cell and atoms, written as POSCAR:
```
CsPbBr3
1.0
6.028 0.000 0.000
0.000 5.958 5.973
0.000 -5.958 5.973
Cs Pb Br
2 2 6
direct
0.000 0.000 0.000 Cs
0.000 0.499 0.499 Cs
0.500 0.495 0.994 Pb
0.500 0.994 0.495 Pb
0.000 0.473 0.972 Br
0.000 0.972 0.473 Br
0.500 0.206 0.206 Br
0.500 0.286 0.700 Br
0.500 0.700 0.286 Br
0.500 0.792 0.792 Br
```

Calculated values
Calculated total energy, eV/atom: -3.21
Energy with MP2020 corrections, eV per atom: -3.53
Crystal system: orthorhombic
Calculated formation energy, kJ/mol of formula units: -786.0
V, Å³/atom: 42.9


8.
Compound: Na2Mg3TiS6O24
Source: the Materials Project database
Functional: PBE
Structure: optimized geometry

Cell and atoms, written as POSCAR:
```
Na2Mg3TiS6O24
1.0
8.639 0.000 0.000
-4.320 7.482 0.000
0.000 0.000 22.538
Na Mg Ti S O
6 9 3 18 72
direct
0.000 0.000 0.000 Na
0.000 0.000 0.490 Na
0.333 0.667 0.163 Na
0.333 0.667 0.660 Na
0.667 0.333 0.332 Na
0.667 0.333 0.831 Na
0.000 0.000 0.145 Mg
0.000 0.000 0.349 Mg
0.000 0.000 0.642 Mg
0.333 0.667 0.017 Mg
0.333 0.667 0.313 Mg
0.333 0.667 0.509 Mg
0.333 0.667 0.811 Mg
0.667 0.333 0.472 Mg
0.667 0.333 0.979 Mg
0.000 0.000 0.850 Ti
0.667 0.333 0.184 Ti
0.667 0.333 0.675 Ti
0.001 0.291 0.744 S
0.003 0.711 0.244 S
0.042 0.374 0.412 S
0.042 0.664 0.911 S
0.289 0.292 0.244 S
0.290 0.999 0.744 S
0.332 0.958 0.412 S
0.336 0.378 0.911 S
0.374 0.333 0.577 S
0.376 0.044 0.078 S
0.622 0.958 0.911 S
0.626 0.668 0.412 S
0.667 0.041 0.577 S
0.668 0.624 0.078 S
0.708 0.997 0.244 S
0.709 0.710 0.744 S
0.956 0.332 0.078 S
0.959 0.626 0.577 S
0.023 0.194 0.406 O
0.023 0.832 0.902 O
0.027 0.209 0.692 O
0.027 0.816 0.191 O
0.122 0.484 0.358 O
0.122 0.640 0.857 O
0.134 0.496 0.074 O
0.134 0.638 0.576 O
0.149 0.453 0.466 O
0.152 0.702 0.964 O
0.157 0.469 0.753 O
0.157 0.683 0.251 O
0.168 0.191 0.902 O
0.171 0.977 0.406 O
0.181 0.973 0.692 O
0.184 0.212 0.191 O
0.198 0.025 0.086 O
0.199 0.173 0.587 O
0.205 0.030 0.799 O
0.218 0.182 0.298 O
0.298 0.450 0.964 O
0.304 0.851 0.466 O
0.312 0.843 0.753 O
0.317 0.474 0.251 O
0.360 0.483 0.857 O
0.361 0.878 0.358 O
0.362 0.497 0.576 O
0.362 0.866 0.074 O
0.456 0.152 0.025 O
0.460 0.305 0.526 O
0.471 0.165 0.739 O
0.476 0.311 0.235 O
0.490 0.350 0.917 O
0.491 0.132 0.132 O
0.493 0.359 0.633 O
0.494 0.138 0.418 O
0.503 0.866 0.576 O
0.504 0.638 0.074 O
0.516 0.639 0.358 O
0.517 0.878 0.857 O
0.526 0.843 0.251 O
0.531 0.688 0.753 O
0.547 0.696 0.466 O
0.550 0.848 0.964 O
0.641 0.134 0.633 O
0.641 0.509 0.132 O
0.644 0.506 0.418 O
0.650 0.140 0.917 O
0.689 0.165 0.235 O
0.694 0.529 0.739 O
0.695 0.155 0.526 O
0.695 0.544 0.025 O
0.788 0.973 0.191 O
0.791 0.819 0.692 O
0.806 0.829 0.406 O
0.809 0.977 0.902 O
0.818 0.036 0.298 O
0.824 0.795 0.799 O
0.827 0.026 0.587 O
0.828 0.802 0.086 O
0.835 0.306 0.739 O
0.835 0.524 0.235 O
0.845 0.540 0.526 O
0.848 0.305 0.025 O
0.860 0.510 0.917 O
0.862 0.356 0.418 O
0.866 0.507 0.633 O
0.868 0.359 0.132 O
0.964 0.782 0.298 O
0.970 0.176 0.799 O
0.974 0.801 0.587 O
0.975 0.172 0.086 O
```

Calculated values
Calculated total energy, eV/atom: -6.30
Energy with MP2020 corrections, eV per atom: -6.76
Crystal system: trigonal
Calculated formation energy, kJ/mol of formula units: -8141.1
V, Å³/atom: 13.5